No. 1
LaGe2Pt2 | PBE-GGA | optimized geometry

size of the total moment: 0.0 μB/f.u.
space-group type: I4/mmm
DFT formation energy: -420 kJ/mol of formula units

```
10
Lattice="4.458 0.000 0.000 0.000 4.458 0.000 0.000 0.000 10.117" Properties=species:S:1:pos:R:3 pbc="T T T"
La 0.000 0.000 0.000
La 2.229 2.229 5.059
Ge 0.000 0.000 3.769
Ge 0.000 0.000 6.348
Ge 2.229 2.229 1.290
Ge 2.229 2.229 8.827
Pt 0.000 2.229 2.529
Pt 0.000 2.229 7.588
Pt 2.229 0.000 2.529
Pt 2.229 0.000 7.588
```


No. 2
LaGe12Pt4 | PBE-GGA | optimized geometry

space-group type: Im-3
DFT formation energy: -678 kJ/mol of formula units

```
17
Lattice="-4.383 4.383 4.383 4.383 -4.383 4.383 4.383 4.383 -4.383" Properties=species:S:1:pos:R:3 pbc="T T T"
La 0.000 0.000 0.000
Ge 3.111 1.330 0.000
Ge 5.654 1.330 0.000
Ge 4.383 -1.272 3.052
Ge 3.052 4.383 -1.272
Ge 1.330 0.000 3.111
Ge 4.383 1.272 3.052
Ge 0.000 3.111 1.330
Ge 3.052 4.383 1.272
Ge 1.330 0.000 5.654
Ge 0.000 5.654 1.330
Ge -1.272 3.052 4.383
Ge 1.272 3.052 4.383
Pt 2.191 2.191 -2.191
Pt 2.191 -2.191 2.191
Pt -2.191 2.191 2.191
Pt 2.191 2.191 2.191
```


No. 3
LaGe2Pt2 | PBE-GGA | optimized geometry

space-group type: P2_1/m
DFT formation energy: -466 kJ/mol of formula units

```
10
Lattice="4.462 0.000 0.000 0.000 4.461 0.000 -0.042 0.000 10.011" Properties=species:S:1:pos:R:3 pbc="T T T"
La 1.106 1.115 2.465
La 3.313 3.346 7.546
Ge 1.053 1.115 6.279
Ge 1.076 3.346 10.011
Ge 3.343 1.115 0.000
Ge 3.366 3.346 3.732
Pt 1.071 1.115 8.776
Pt 1.144 3.346 5.009
Pt 3.275 1.115 5.002
Pt 3.348 3.346 1.235
```